(1)
A plane-wave DFT calculation with meta-GGA r2SCAN was carried out for a relaxed Yb3PbC crystal.

Results
- Space-group type: No. 221
- Raw total energy: -35.912 eV/atom
- Formation energy from the elements: -0.748 eV/atom

abc: 4.778 4.778 4.778
angles: 90.00 90.00 90.00
Element x y z (fractional)
Yb 0.500 0.000 0.000
Yb 0.000 0.000 0.500
Pb 0.500 0.500 0.500
Yb 0.000 0.500 0.000
C 0.000 0.000 0.000

***

(2)
A plane-wave DFT calculation with meta-GGA r2SCAN was carried out for a relaxed PrRh3C crystal.

Results
- Space-group type: No. 221
- Raw total energy: -22.760 eV/atom
- Formation energy from the elements: -0.408 eV/atom

abc: 4.221 4.221 4.221
angles: 90.00 90.00 90.00
Element x y z (fractional)
Rh 0.000 0.500 0.500
Rh 0.500 0.500 0.000
Pr 0.000 0.000 0.000
C 0.500 0.500 0.500
Rh 0.500 0.000 0.500

***

(3)
A plane-wave DFT calculation with meta-GGA r2SCAN was carried out for a relaxed Pr2WC2 crystal.

Results
- Space-group type: No. 136
- Raw total energy: -26.268 eV/atom
- Formation energy from the elements: -0.254 eV/atom

abc: 5.833 5.833 10.533
angles: 90.00 90.00 90.00
Element x y z (fractional)
C 0.000 0.500 0.000
W 0.823 0.823 0.000
W 0.177 0.177 0.000
C 0.500 0.000 0.000
Pr 0.196 0.196 0.657
Pr 0.196 0.196 0.343
Pr 0.304 0.696 0.843
Pr 0.696 0.304 0.843
Pr 0.804 0.804 0.657
C 0.500 0.500 0.361
C 0.000 0.000 0.861
C 0.000 0.500 0.500
Pr 0.804 0.804 0.343
W 0.323 0.677 0.500
Pr 0.696 0.304 0.157
Pr 0.304 0.696 0.157
C 0.000 0.000 0.139
W 0.677 0.323 0.500
C 0.500 0.500 0.639
C 0.500 0.000 0.500

***

(4)
A plane-wave DFT calculation with meta-GGA r2SCAN was carried out for a relaxed PuRh3C crystal.

Results
- Space-group type: No. 123
- Raw total energy: -34.107 eV/atom
- Formation energy from the elements: -0.365 eV/atom

abc: 4.184 4.208 4.184
angles: 90.00 90.00 90.00
Element x y z (fractional)
Pu 0.000 0.000 0.000
Rh 0.500 0.500 0.000
Rh 0.000 0.500 0.500
Rh 0.500 0.000 0.500
C 0.500 0.500 0.500

***

(5)
A plane-wave DFT calculation with meta-GGA r2SCAN was carried out for a relaxed PuUC2 crystal.

Results
- Space-group type: No. 166
- Raw total energy: -46.911 eV/atom
- Formation energy from the elements: -0.363 eV/atom

abc: 6.086 6.086 6.086
angles: 34.14 34.14 34.14
Element x y z (fractional)
U 0.500 0.500 0.500
Pu 0.000 0.000 0.000
C 0.236 0.236 0.236
C 0.764 0.764 0.764

***

(6)
A plane-wave DFT calculation with meta-GGA r2SCAN was carried out for a relaxed Re2C crystal.

Results
- Space-group type: No. 194
- Raw total energy: -38.309 eV/atom
- Formation energy from the elements: -0.053 eV/atom

abc: 2.856 2.856 9.863
angles: 90.00 90.00 120.00
Element x y z (fractional)
Re 0.333 0.667 0.892
C 0.667 0.333 0.750
Re 0.667 0.333 0.392
C 0.333 0.667 0.250
Re 0.667 0.333 0.108
Re 0.333 0.667 0.608

***

(7)
A plane-wave DFT calculation with meta-GGA r2SCAN was carried out for a relaxed U5Re3C8 crystal.

Results
- Space-group type: No. 127
- Raw total energy: -40.093 eV/atom
- Formation energy from the elements: -0.311 eV/atom

abc: 11.404 11.404 3.286
angles: 90.00 90.00 90.00
Element x y z (fractional)
C 0.619 0.119 0.500
U 0.542 0.728 0.500
C 0.652 0.598 0.000
C 0.349 0.151 0.000
Re 0.206 0.294 0.000
C 0.881 0.619 0.500
Re 0.706 0.206 0.000
Re 0.294 0.794 0.000
U 0.458 0.272 0.500
C 0.402 0.652 0.000
C 0.151 0.651 0.000
Re 0.794 0.706 0.000
U 0.228 0.042 0.500
C 0.119 0.381 0.500
U 0.000 0.500 0.000
C 0.902 0.848 0.000
U 0.958 0.228 0.500
C 0.848 0.098 0.000
C 0.849 0.349 0.000
C 0.152 0.902 0.000
C 0.348 0.402 0.000
U 0.772 0.958 0.500
U 0.042 0.772 0.500
C 0.651 0.849 0.000
U 0.500 0.000 0.000
C 0.098 0.152 0.000
U 0.272 0.542 0.500
U 0.728 0.458 0.500
Re 0.000 0.000 0.000
C 0.381 0.881 0.500
C 0.598 0.348 0.000
Re 0.500 0.500 0.000

***

(8)
A plane-wave DFT calculation with meta-GGA r2SCAN was carried out for a relaxed UReC2 crystal.

Results
- Space-group type: No. 62
- Raw total energy: -38.332 eV/atom
- Formation energy from the elements: -0.270 eV/atom

abc: 3.190 5.630 10.999
angles: 90.00 90.00 90.00
Element x y z (fractional)
C 0.750 0.337 0.743
Re 0.750 0.576 0.896
C 0.250 0.243 0.507
U 0.250 0.582 0.641
U 0.750 0.918 0.141
C 0.250 0.663 0.257
C 0.750 0.757 0.493
Re 0.250 0.424 0.104
C 0.250 0.163 0.243
Re 0.750 0.076 0.604
Re 0.250 0.924 0.396
C 0.750 0.837 0.757
U 0.750 0.418 0.359
U 0.250 0.082 0.859
C 0.250 0.743 0.993
C 0.750 0.257 0.007

***

(9)
A plane-wave DFT calculation with meta-GGA r2SCAN was carried out for a relaxed Sc3RhC4 crystal.

Results
- Space-group type: No. 12
- Raw total energy: -12.870 eV/atom
- Formation energy from the elements: -0.605 eV/atom

abc: 5.613 5.613 6.748
angles: 83.63 65.42 74.54
Element x y z (fractional)
C 0.711 0.079 0.742
Sc 0.690 0.500 0.621
Sc 0.811 0.000 0.377
Sc 0.310 0.500 0.379
Rh 0.270 0.729 0.000
C 0.207 0.582 0.743
C 0.050 0.418 0.743
C 0.548 0.921 0.742
C 0.793 0.418 0.257
Sc 0.189 0.000 0.623
Rh 0.730 0.271 0.000
C 0.452 0.079 0.258
Sc 0.760 0.761 0.000
C 0.289 0.921 0.258
Sc 0.240 0.239 0.000
C 0.950 0.582 0.257

***

(10)
A plane-wave DFT calculation with meta-GGA r2SCAN was carried out for a relaxed Sc3RhC4 crystal.

Results
- Space-group type: No. 71
- Raw total energy: -12.867 eV/atom
- Formation energy from the elements: -0.602 eV/atom

abc: 6.732 6.732 6.732
angles: 150.69 141.21 49.36
Element x y z (fractional)
Sc 0.500 0.500 0.000
C 0.789 0.129 0.661
C 0.468 0.129 0.339
Rh 0.000 0.000 0.000
Sc 0.811 0.311 0.500
C 0.532 0.871 0.661
Sc 0.189 0.689 0.500
C 0.211 0.871 0.339

***

(11)
A plane-wave DFT calculation with meta-GGA r2SCAN was carried out for a relaxed SmRh3C crystal.

Results
- Space-group type: No. 221
- Raw total energy: -22.915 eV/atom
- Formation energy from the elements: -0.497 eV/atom

abc: 4.185 4.185 4.185
angles: 90.00 90.00 90.00
Element x y z (fractional)
Rh 0.000 0.500 0.500
C 0.500 0.500 0.500
Sm 0.000 0.000 0.000
Rh 0.500 0.000 0.500
Rh 0.500 0.500 0.000

***

(12)
A plane-wave DFT calculation with meta-GGA r2SCAN was carried out for a relaxed TmRh3C crystal.

Results
- Space-group type: No. 221
- Raw total energy: -24.103 eV/atom
- Formation energy from the elements: -0.607 eV/atom

abc: 4.126 4.126 4.126
angles: 90.00 90.00 90.00
Element x y z (fractional)
Tm 0.000 0.000 0.000
Rh 0.500 0.000 0.500
Rh 0.500 0.500 0.000
C 0.500 0.500 0.500
Rh 0.000 0.500 0.500